A geometry-optimized Mg4Si3 structure, computed with PBE-GGA.

extended XYZ file:
```
28
Lattice="6.589 0.000 0.000 -2.054 6.925 0.000 -0.164 -1.411 12.162" Properties=species:S:1:pos:R:3 pbc="T T T"
Mg 0.000 0.000 0.000
Mg -1.302 3.882 3.591
Mg -1.167 3.842 9.567
Mg 0.705 0.431 9.577
Mg 0.038 4.220 0.387
Mg -0.045 4.122 6.544
Mg 1.213 0.949 6.351
Mg 0.827 5.445 11.386
Mg 1.897 4.289 3.717
Mg 2.225 3.039 10.258
Mg 3.301 1.485 3.706
Mg 4.159 -0.445 6.211
Mg 3.334 3.401 6.451
Mg 3.537 4.084 1.122
Mg 4.484 1.022 10.925
Mg 6.141 -0.102 3.683
Si 1.090 2.059 2.040
Si -0.109 6.446 2.117
Si -0.047 6.026 4.534
Si 1.806 0.904 11.970
Si 0.885 5.689 8.612
Si 3.067 1.259 8.353
Si 2.278 6.441 1.613
Si 3.130 5.523 9.672
Si 5.245 1.926 1.597
Si 5.401 1.631 7.848
Si 5.484 1.895 5.398
Si 4.323 5.719 7.567
```

## Properties
magnetic moment = 0.00 μB/cell
formation energy from the elements = 0.0911 eV/atom
crystal system = triclinic
energy relative to the lowest polymorph listed for this composition = 87 meV/atom
VASP energy = -3.18 eV per atom
space group = P1